EuSeO4 (PBE, optimized geometry); SG = No. 63; calculated formation energy = -2.0813 eV per atom
1.0
2.953 -4.516 0.000
2.953 4.516 0.000
0.000 0.000 7.996
Eu Se O
2 2 8
Cartesian
0.000 0.000 0.000 Eu
0.000 0.000 3.998 Eu
2.953 -1.238 1.999 Se
2.953 1.238 5.997 Se
1.534 0.266 5.997 O
1.534 -0.266 1.999 O
2.953 -2.144 0.583 O
2.953 -2.144 3.415 O
2.953 2.144 4.581 O
2.953 2.144 7.413 O
4.372 -0.266 1.999 O
4.372 0.266 5.997 O

---

NdTe2Se (PBE, optimized geometry); SG = No. 63; calculated formation energy = -1.2673 eV per atom
1.0
2.150 -13.248 0.000
2.150 13.248 0.000
0.000 0.000 4.311
Nd Te Se
2 4 2
Cartesian
2.150 8.473 1.078 Nd
2.150 -8.473 3.234 Nd
2.150 2.120 3.234 Te
2.150 -2.120 1.078 Te
2.150 -11.128 1.078 Te
2.150 11.128 3.234 Te
2.150 5.462 1.078 Se
2.150 -5.462 3.234 Se

---

BaZrO3 (PBE, optimized geometry); SG = No. 221; calculated formation energy = -3.6392 eV per atom
1.0
4.256 0.000 0.000
0.000 4.256 0.000
0.000 0.000 4.256
Ba Zr O
1 1 3
Cartesian
0.000 0.000 0.000 Ba
2.128 2.128 2.128 Zr
2.128 0.000 2.128 O
2.128 2.128 0.000 O
0.000 2.128 2.128 O

---

Cr2Fe3N4 (PBE, optimized geometry); SG = No. 15; calculated formation energy = -0.2149 eV per atom
1.0
5.607 -0.230 0.033
-4.482 5.727 0.000
-0.107 -0.084 5.412
Cr Fe N
4 6 8
Cartesian
2.678 0.913 3.541 Cr
-0.566 2.992 4.610 Cr
-1.660 4.501 1.903 Cr
1.583 2.422 0.835 Cr
1.247 0.063 0.019 Fe
0.710 4.261 2.720 Fe
-0.229 5.350 5.426 Fe
0.308 1.153 2.725 Fe
-3.030 3.706 4.059 Fe
-1.559 1.938 1.353 Fe
-3.059 5.269 2.898 N
1.067 3.880 5.253 N
4.077 0.145 2.547 N
-0.050 1.533 0.192 N
2.704 1.175 5.399 N
-0.826 3.030 2.752 N
-1.686 4.239 0.046 N
1.844 2.384 2.693 N

---

CeTl (PBE, optimized geometry); SG = No. 123; calculated formation energy = -0.2564 eV per atom
1.0
3.512 0.000 0.000
0.000 3.512 0.000
0.000 0.000 4.661
Ce Tl
1 1
Cartesian
0.000 0.000 0.000 Ce
1.756 1.756 2.330 Tl

---

SiNi2As (PBE, optimized geometry); SG = No. 61; calculated formation energy = -0.3878 eV per atom
1.0
-2.928 -2.637 -3.295
4.806 -3.159 -1.741
-2.617 -9.419 9.865
Si Ni As
8 16 8
Cartesian
1.931 -5.647 -3.761 Si
-1.481 -7.700 0.914 Si
1.641 -3.175 -1.478 Si
1.032 -9.988 1.632 Si
-2.670 -9.568 8.590 Si
0.742 -7.516 3.915 Si
-2.379 -12.040 6.307 Si
-1.771 -5.228 3.197 Si
2.861 -3.801 0.372 Ni
-2.661 -9.751 6.295 Ni
-0.921 -5.471 1.066 Ni
-0.183 -9.340 -0.290 Ni
0.018 -3.807 2.904 Ni
1.923 -5.465 -1.465 Ni
0.182 -9.745 3.763 Ni
-3.600 -11.415 4.457 Ni
-0.556 -5.875 5.119 Ni
-1.572 -4.111 -3.242 Ni
0.735 -7.662 1.555 Ni
-0.085 -12.782 6.226 Ni
-0.654 -2.433 -1.397 Ni
0.833 -11.105 8.071 Ni
-1.473 -7.553 3.274 Ni
-0.756 -11.409 1.925 Ni
1.639 -7.726 -0.747 As
-0.682 -2.431 1.080 As
-2.110 -9.946 3.302 As
-0.324 -10.328 6.024 As
-2.378 -7.490 5.576 As
-0.057 -12.784 3.749 As
1.372 -5.269 1.527 As
-0.414 -4.888 -1.195 As

---

K2Se4O (PBE, optimized geometry); SG = No. 9; calculated formation energy = -0.8203 eV per atom
1.0
4.337 4.672 0.000
-4.337 4.672 0.000
0.000 1.894 11.149
K Se O
4 8 2
Cartesian
-2.402 4.741 7.479 K
2.402 3.794 1.905 K
-1.645 3.053 0.642 K
1.645 4.000 6.216 K
0.242 6.687 9.004 Se
-0.242 5.740 3.430 Se
2.283 5.398 9.432 Se
-2.283 4.451 3.857 Se
0.034 6.863 6.626 Se
-0.034 5.916 1.051 Se
-0.189 2.214 9.422 Se
0.189 1.267 3.847 Se
0.432 2.329 7.792 O
-0.432 1.382 2.218 O

---

SrMg14SiO16 (PBE, optimized geometry); SG = No. 47; calculated formation energy = -2.8029 eV per atom
1.0
8.747 0.000 0.000
0.000 8.655 0.000
0.000 0.000 4.434
Sr Mg Si O
1 14 1 16
Cartesian
0.000 4.327 0.000 Sr
4.373 0.000 0.000 Mg
4.373 4.327 0.000 Mg
0.000 2.091 2.217 Mg
0.000 6.564 2.217 Mg
4.373 2.150 2.217 Mg
4.373 6.504 2.217 Mg
2.219 0.000 2.217 Mg
2.275 4.327 2.217 Mg
6.528 0.000 2.217 Mg
6.471 4.327 2.217 Mg
2.264 2.116 0.000 Mg
2.264 6.538 0.000 Mg
6.483 2.116 0.000 Mg
6.483 6.538 0.000 Mg
0.000 0.000 0.000 Si
2.341 0.000 0.000 O
2.372 4.327 0.000 O
6.406 0.000 0.000 O
6.375 4.327 0.000 O
2.181 2.162 2.217 O
2.181 6.492 2.217 O
6.566 2.162 2.217 O
6.566 6.492 2.217 O
0.000 0.000 2.217 O
0.000 4.327 2.217 O
4.373 0.000 2.217 O
4.373 4.327 2.217 O
0.000 2.003 0.000 O
0.000 6.651 0.000 O
4.373 2.149 0.000 O
4.373 6.506 0.000 O

---

BaOsO3 (PBE, optimized geometry); SG = No. 221; calculated formation energy = -2.0390 eV per atom
1.0
-2.974 2.463 1.267
-2.100 -0.792 -3.389
-1.807 -3.134 1.852
Ba Os O
1 1 3
Cartesian
0.000 0.000 0.000 Ba
-3.440 -0.731 -0.135 Os
-1.953 -1.963 -0.768 O
-2.390 -0.336 1.559 O
-2.537 0.836 -1.061 O

---

Y2Se3O12 (PBE, optimized geometry); SG = No. 15; calculated formation energy = -1.9937 eV per atom
1.0
-5.452 -4.095 -0.485
2.139 1.619 6.288
-8.104 7.396 2.844
Y Se O
4 6 24
Cartesian
-6.602 3.063 7.325 Y
-4.445 -2.062 4.211 Y
-6.972 6.981 4.435 Y
-4.816 1.856 1.321 Y
-8.781 5.848 7.303 Se
-6.538 0.788 4.267 Se
-4.942 6.411 7.526 Se
-6.475 -1.491 1.120 Se
-4.880 4.132 4.379 Se
-2.637 -0.928 1.343 Se
-8.225 4.465 6.542 O
-8.027 3.562 1.825 O
-5.339 7.823 8.391 O
-6.819 2.179 5.120 O
-7.750 7.082 6.717 O
-9.314 1.217 3.286 O
-4.996 0.147 4.385 O
-10.783 3.918 2.653 O
-4.694 3.813 6.051 O
-9.168 6.050 4.487 O
-3.328 5.915 7.747 O
-0.828 2.232 3.211 O
-10.590 2.687 5.435 O
-8.089 -0.995 0.899 O
-2.250 -1.130 4.159 O
-6.724 1.106 2.595 O
-0.635 1.002 5.993 O
-6.422 4.772 4.261 O
-2.103 3.703 5.360 O
-3.668 -2.163 1.928 O
-4.599 2.741 3.526 O
-6.078 -2.904 0.255 O
-3.391 1.358 6.821 O
-3.192 0.455 2.104 O

---

Re5Si3 (PBE, optimized geometry); SG = No. 140; calculated formation energy = -0.0658 eV per atom
1.0
2.678 0.730 4.103
0.849 -6.144 3.529
6.948 -0.839 -1.395
Re Si
10 6
Cartesian
7.546 -5.283 4.986 Re
2.930 -0.970 1.251 Re
3.376 -1.382 4.024 Re
7.100 -4.872 2.214 Re
3.177 -4.029 4.625 Re
7.299 -2.224 1.613 Re
5.211 -1.460 -0.151 Re
5.265 -4.793 6.388 Re
5.908 -2.944 4.144 Re
4.568 -3.309 2.093 Re
1.985 -3.081 2.243 Si
8.491 -3.173 3.994 Si
5.071 -5.348 3.623 Si
5.405 -0.906 2.615 Si
0.670 0.183 1.026 Si
2.009 0.548 3.077 Si

---

Rb8SbO3 (PBE, optimized geometry); SG = No. 221; calculated formation energy = -0.7789 eV per atom
1.0
7.448 0.000 0.000
0.000 7.448 0.000
0.000 0.000 7.448
Rb Sb O
8 1 3
Cartesian
2.001 2.001 2.001 Rb
5.447 5.447 2.001 Rb
5.447 2.001 5.447 Rb
2.001 5.447 5.447 Rb
2.001 2.001 5.447 Rb
5.447 5.447 5.447 Rb
5.447 2.001 2.001 Rb
2.001 5.447 2.001 Rb
0.000 0.000 0.000 Sb
0.000 3.724 3.724 O
3.724 3.724 0.000 O
3.724 0.000 3.724 O

---

Hf6FeSb2 (PBE, optimized geometry); SG = No. 189; calculated formation energy = -0.4830 eV per atom
1.0
-4.168 -2.239 -6.118
2.272 -5.208 5.247
-3.009 0.550 1.849
Hf Fe Sb
6 1 2
Cartesian
-2.502 -0.261 -0.540 Hf
-0.961 -0.972 2.180 Hf
-2.947 -5.389 0.262 Hf
-2.524 -1.356 -3.705 Hf
1.376 -3.154 3.177 Hf
-0.748 -2.937 -0.344 Hf
0.000 0.000 0.000 Fe
-1.379 -3.944 2.383 Sb
-3.526 -2.954 -1.405 Sb

---

NaGd3 (PBE, optimized geometry); SG = No. 194; calculated formation energy = 0.2406 eV per atom
1.0
-3.281 5.476 3.398
-2.525 -6.738 0.725
3.471 -0.801 4.643
Na Gd
2 6
Cartesian
-0.174 -3.268 5.098 Na
-2.161 1.204 3.668 Na
-1.825 -0.539 6.803 Gd
1.100 0.096 4.726 Gd
-0.553 2.855 6.438 Gd
-1.782 -4.918 2.328 Gd
-3.435 -2.159 4.040 Gd
-0.510 -1.524 1.963 Gd

---

Ta3Se8Br6 (PBE, optimized geometry); SG = No. 2; calculated formation energy = -0.8873 eV per atom
1.0
-0.904 4.244 6.397
-0.637 -8.769 7.487
11.703 -1.597 5.527
Ta Se Br
6 16 12
Cartesian
2.193 -3.084 7.657 Ta
7.968 -3.038 11.754 Ta
0.543 4.017 7.082 Ta
9.618 -10.138 12.328 Ta
3.483 3.626 8.472 Ta
6.678 -9.748 10.939 Ta
2.369 -4.942 13.398 Se
7.792 -1.180 6.013 Se
2.090 -7.230 9.606 Se
8.071 1.109 9.805 Se
2.111 -0.443 3.350 Se
8.050 -5.679 16.061 Se
-0.736 -2.913 12.731 Se
10.897 -3.208 6.680 Se
-0.770 -5.185 12.037 Se
10.931 -0.936 7.374 Se
4.794 -7.974 11.557 Se
5.367 1.852 7.853 Se
5.828 -7.688 9.443 Se
8.105 -7.989 12.508 Se
4.332 1.567 9.968 Se
2.056 1.867 6.903 Se
8.790 -2.978 14.162 Br
1.371 -3.144 5.248 Br
9.216 -5.178 11.274 Br
5.938 -4.337 12.583 Br
3.045 -3.068 10.006 Br
7.116 -3.054 9.405 Br
3.443 -5.281 7.270 Br
6.718 -0.840 12.140 Br
0.114 -4.413 8.308 Br
10.046 -1.709 11.102 Br
4.223 -1.784 6.828 Br
0.945 -0.943 8.137 Br

---

MgTa4O12 (PBE, optimized geometry); SG = No. 204; calculated formation energy = -2.9590 eV per atom
1.0
-3.936 3.888 -4.021
3.989 -3.981 -3.874
-3.961 -3.918 3.967
Mg Ta O
1 4 12
Cartesian
-3.936 3.888 -4.021 Mg
-5.902 -2.020 -1.991 Ta
-1.980 -1.959 1.983 Ta
-1.954 -2.005 -1.964 Ta
-1.968 1.944 -2.010 Ta
0.034 -5.972 -1.793 O
-2.084 -3.934 2.032 O
0.019 -1.970 -1.840 O
2.034 -2.124 -3.909 O
-2.057 -3.981 -1.968 O
-1.942 -1.871 0.009 O
-1.966 -2.139 -3.937 O
-1.851 -0.030 -1.960 O
-5.942 -1.886 -0.019 O
-3.927 -2.040 -2.088 O
-1.824 -0.077 -5.960 O
-3.942 1.961 -2.135 O